Density functional theory data (GGA-PBE) for a geometry-optimized Cs2MgH12Se2O14 structure.

Cell lengths 13.109, 6.576, 9.584 Å; angles 74.13, 90.00, 90.00 degrees
Fractional coordinates of all 62 atoms:
O: 0.076 0.196 0.549
O: 0.753 0.594 0.581
O: 0.438 0.287 0.506
O: 0.895 0.015 0.165
O: 0.893 0.158 0.844
O: 0.107 0.842 0.156
O: 0.425 0.403 0.761
O: 0.562 0.713 0.494
O: 0.575 0.597 0.239
O: 0.253 0.406 0.919
O: 0.062 0.287 0.006
O: 0.395 0.985 0.335
O: 0.938 0.713 0.994
O: 0.075 0.403 0.261
O: 0.424 0.196 0.049
O: 0.311 0.038 0.858
O: 0.747 0.594 0.081
O: 0.247 0.406 0.419
O: 0.607 0.158 0.344
O: 0.811 0.962 0.642
O: 0.105 0.985 0.835
O: 0.605 0.015 0.665
O: 0.576 0.804 0.951
O: 0.189 0.038 0.358
O: 0.924 0.804 0.451
O: 0.925 0.597 0.739
O: 0.689 0.962 0.142
O: 0.393 0.842 0.656
H: 0.634 0.681 0.526
H: 0.094 0.065 0.732
H: 0.678 0.994 0.647
H: 0.866 0.681 0.026
H: 0.056 0.333 0.096
H: 0.094 0.689 0.203
H: 0.322 0.006 0.353
H: 0.944 0.667 0.904
H: 0.366 0.319 0.474
H: 0.594 0.311 0.297
H: 0.444 0.333 0.596
H: 0.631 0.089 0.270
H: 0.134 0.319 0.974
H: 0.869 0.089 0.770
H: 0.369 0.911 0.730
H: 0.556 0.667 0.404
H: 0.906 0.311 0.797
H: 0.178 0.006 0.853
H: 0.406 0.065 0.232
H: 0.594 0.935 0.768
H: 0.406 0.689 0.703
H: 0.131 0.911 0.230
H: 0.906 0.935 0.268
H: 0.822 0.994 0.147
Mg: 0.000 0.000 0.000
Mg: 0.500 0.000 0.500
Se: 0.353 0.258 0.898
Se: 0.853 0.742 0.602
Se: 0.147 0.258 0.398
Se: 0.647 0.742 0.102
Cs: 0.648 0.350 0.870
Cs: 0.352 0.650 0.130
Cs: 0.852 0.350 0.370
Cs: 0.148 0.650 0.630

E_form (eV per atom): -1.531
Total DFT energy (no corrections) (eV/atom): -5.1032